# Ce2Sb2Se5 PBE optimized geometry
data_Ce2Sb2Se5
_chemical_formula_sum 'Ce8 Sb8 Se20'
_cell_length_a 19.4851
_cell_length_b 4.2253
_cell_length_c 11.9047
_cell_angle_alpha 90.00
_cell_angle_beta 90.00
_cell_angle_gamma 90.00
_space_group_name_H-M_alt 'P n m a'
_space_group_IT_number 62
loop_
_space_group_symop_operation_xyz
'x,y,z'
'-x,-y,-z'
'-x+1/2,-y,z+1/2'
'x+1/2,y,-z+1/2'
'x+1/2,-y+1/2,-z+1/2'
'-x+1/2,y+1/2,z+1/2'
'-x,y+1/2,-z'
'x,-y+1/2,z'
loop_
_atom_site_label
_atom_site_type_symbol
_atom_site_fract_x
_atom_site_fract_y
_atom_site_fract_z
_atom_site_occupancy
Ce1 Ce 0.1031 0.2500 0.0006 1
Ce2 Ce 0.2175 0.2500 0.6858 1
Sb1 Sb 0.0149 0.7500 0.6812 1
Sb2 Sb 0.1188 0.7500 0.3781 1
Se1 Se 0.0291 0.7500 0.1236 1
Se2 Se 0.0759 0.2500 0.5539 1
Se3 Se 0.1341 0.7500 0.8191 1
Se4 Se 0.1753 0.2500 0.2226 1
Se5 Se 0.2379 0.7500 0.5013 1
# magnetization: 0.232 μB/atom
# energy above the most stable polymorph in this dataset: 38 meV per atom
# E_form: -28.07 kcal/mol of atoms

***

# VP PBE optimized geometry
data_VP
_chemical_formula_sum 'V2 P2'
_cell_length_a 3.3328
_cell_length_b 3.3328
_cell_length_c 5.8322
_cell_angle_alpha 90.00
_cell_angle_beta 90.00
_cell_angle_gamma 120.00
_space_group_name_H-M_alt 'P 63/m m c'
_space_group_IT_number 194
_space_group_name_Hall '-P 6c 2c'
loop_
_atom_site_label
_atom_site_type_symbol
_atom_site_fract_x
_atom_site_fract_y
_atom_site_fract_z
_atom_site_occupancy
V1 V 0.3333 0.6667 0.2500 1
P1 P 0.0000 0.0000 0.0000 1
# magnetization: 0.015 μB/atom
# E_form: -9.78 kcal/mol of atoms